No. 1
KBaYB2O6: optimized geometry, PBE.

The total DFT energy (no corrections) is -7.585 eV per atom. The value obtained for the formation energy is -3.184 eV/atom. As for the calculated volume: 14.29 Å³/atom.

The structure belongs to space group R3m (No. 160, hexagonal axes); the cell edges are 5.4740, 5.4740 and 18.1709 Å and the angles 90.00°, 90.00° and 120.00°. The inequivalent atoms are K at (0.0000, 0.0000, 0.0000), Ba at (0.0000, 0.0000, 0.4274), Y at (0.0000, 0.0000, 0.2218), B at (0.0000, 0.0000, 0.6330), B at (0.0000, 0.0000, 0.8095), O at (0.0402, 0.5201, 0.4757) and O at (0.1863, 0.3726, 0.2994).

No. 2
Mg2GeO4: optimized geometry, PBE.

The total DFT energy (no corrections) is -6.281 eV per atom. The value obtained for the formation energy is -2.729 eV/atom. As for the calculated volume: 10.40 Å³/atom.

The structure belongs to space group Fd-3m (No. 227, origin choice 2); the cell edges are 8.3499, 8.3499 and 8.3499 Å and the angles 90.00°, 90.00° and 90.00°. The inequivalent atoms are Mg at (0.0000, 0.0000, 0.0000), Ge at (0.1250, 0.1250, 0.6250) and O at (0.9998, 0.9998, 0.2502).

What is the formula in the second record?
Mg2GeO4